1.
VASP calculation (PBE-GGA) on an optimized crystal structure of ZnH4SeO6.

Unit cell a=9.0942 b=10.3308 c=10.5314 alpha=90.00 beta=90.00 gamma=90.00
With the nearest neighbours (Å) after each atom.
Fractional positions:
Zn  0.8357  0.8720  0.6689  6 O 2.04-2.24
Zn  0.6643  0.8720  0.1689  6 O 2.04-2.24
Zn  0.1643  0.6280  0.1689  6 O 2.04-2.24
Zn  0.3357  0.6280  0.6689  6 O 2.04-2.24
Zn  0.1643  0.1280  0.3311  6 O 2.04-2.24
Zn  0.6643  0.3720  0.3311  6 O 2.04-2.24
Zn  0.8357  0.3720  0.8311  6 O 2.04-2.24
Zn  0.3357  0.1280  0.8311  6 O 2.04-2.24
H  0.3311  0.8245  0.0875  1 O 0.99
H  0.8523  0.4388  0.5166  1 O 0.98
H  0.3818  0.4610  0.0952  1 O 0.98
H  0.3081  0.8704  0.6739  1 O 0.99
H  0.6689  0.1755  0.9125  1 O 0.99
H  0.8311  0.6755  0.0875  1 O 0.99
H  0.1689  0.8245  0.5875  1 O 0.99
H  0.3523  0.0612  0.5166  1 O 0.98
H  0.6477  0.9388  0.4834  1 O 0.98
H  0.3311  0.3245  0.4125  1 O 0.99
H  0.8081  0.1296  0.8261  1 O 0.99
H  0.1919  0.8704  0.1739  1 O 0.99
H  0.8818  0.5390  0.4048  1 O 0.98
H  0.8311  0.1755  0.4125  1 O 0.99
H  0.1477  0.5612  0.4834  1 O 0.98
H  0.3818  0.9610  0.4048  1 O 0.98
H  0.3081  0.3704  0.8261  1 O 0.99
H  0.6689  0.6755  0.5875  1 O 0.99
H  0.6477  0.4388  0.0166  1 O 0.98
H  0.8081  0.6296  0.6739  1 O 0.99
H  0.1919  0.3704  0.3261  1 O 0.99
H  0.6182  0.0390  0.5952  1 O 0.98
H  0.6919  0.1296  0.3261  1 O 0.99
H  0.6919  0.6296  0.1739  1 O 0.99
H  0.1477  0.0612  0.0166  1 O 0.98
H  0.1689  0.3245  0.9125  1 O 0.99
H  0.3523  0.5612  0.9834  1 O 0.98
H  0.1182  0.4610  0.5952  1 O 0.98
H  0.8523  0.9388  0.9834  1 O 0.98
H  0.1182  0.9610  0.9048  1 O 0.98
H  0.8818  0.0390  0.0952  1 O 0.98
H  0.6182  0.5390  0.9048  1 O 0.98
Se  0.9684  0.3458  0.1352  4 O 1.67-1.69
Se  0.4684  0.1542  0.1352  4 O 1.67-1.69
Se  0.0316  0.6542  0.8648  4 O 1.67-1.69
Se  0.5316  0.3458  0.6352  4 O 1.67-1.69
Se  0.0316  0.1542  0.6352  4 O 1.67-1.69
Se  0.4684  0.6542  0.3648  4 O 1.67-1.69
Se  0.5316  0.8458  0.8648  4 O 1.67-1.69
Se  0.9684  0.8458  0.3648  4 O 1.67-1.69
O  0.8554  0.4488  0.4240  2 H 0.98
O  0.3554  0.0512  0.4240  2 H 0.98
O  0.5030  0.6951  0.8110  1 Se 1.68
O  0.9113  0.5558  0.7894  1 Se 1.69, 1 H 1.71
O  0.0887  0.4442  0.2106  1 Se 1.69, 1 H 1.71
O  0.9970  0.6951  0.3110  1 Se 1.68
O  0.1446  0.0512  0.9240  2 H 0.98
O  0.7737  0.1920  0.8915  2 H 0.99
O  0.4996  0.3556  0.4781  1 Se 1.68, 1 H 1.71
O  0.4113  0.9442  0.7894  1 Se 1.69, 1 H 1.71
O  0.2737  0.3080  0.8915  2 H 0.99
O  0.8554  0.9488  0.0760  2 H 0.98
O  0.7942  0.3912  0.1600  1 Se 1.67
O  0.5887  0.0558  0.2106  1 Se 1.69, 1 H 1.71
O  0.4113  0.4442  0.7106  1 Se 1.69, 1 H 1.71
O  0.7263  0.1920  0.3915  2 H 0.99
O  0.0030  0.8049  0.8110  1 Se 1.68
O  0.2942  0.6088  0.3400  1 Se 1.67
O  0.7737  0.6920  0.6085  2 H 0.99
O  0.3554  0.5512  0.0760  2 H 0.98
O  0.2058  0.6088  0.8400  1 Se 1.67
O  0.2058  0.1088  0.6600  1 Se 1.67
O  0.5004  0.6444  0.5219  1 Se 1.68, 1 H 1.71
O  0.2942  0.1088  0.1600  1 Se 1.67
O  0.4996  0.8556  0.0219  1 Se 1.68, 1 H 1.71
O  0.9113  0.0558  0.7106  1 Se 1.69, 1 H 1.71
O  0.4970  0.3049  0.1890  1 Se 1.68
O  0.7058  0.8912  0.8400  1 Se 1.67
O  0.6446  0.4488  0.9240  2 H 0.98
O  0.2263  0.3080  0.3915  2 H 0.99
O  0.7263  0.6920  0.1085  2 H 0.99
O  0.5030  0.1951  0.6890  1 Se 1.68
O  0.0004  0.8556  0.5219  1 Se 1.68, 1 H 1.71
O  0.0030  0.3049  0.6890  1 Se 1.68
O  0.6446  0.9488  0.5760  2 H 0.98
O  0.5004  0.1444  0.9781  1 Se 1.68, 1 H 1.71
O  0.7058  0.3912  0.6600  1 Se 1.67
O  0.2737  0.8080  0.6085  2 H 0.99
O  0.0887  0.9442  0.2894  1 Se 1.69, 1 H 1.71
O  0.2263  0.8080  0.1085  2 H 0.99
O  0.7942  0.8912  0.3400  1 Se 1.67
O  0.4970  0.8049  0.3110  1 Se 1.68
O  0.1446  0.5512  0.5760  2 H 0.98
O  0.9996  0.1444  0.4781  1 Se 1.68, 1 H 1.71
O  0.9970  0.1951  0.1890  1 Se 1.68
O  0.0004  0.3556  0.9781  1 Se 1.68, 1 H 1.71
O  0.5887  0.5558  0.2894  1 Se 1.69, 1 H 1.71
O  0.9996  0.6444  0.0219  1 Se 1.68, 1 H 1.71

Properties
size of the total moment: 0.000 μB/f.u.
formation energy: -1316.0 meV/atom


2.
VASP calculation (PBE-GGA) on an optimized crystal structure of ZnH12SeO10.

Unit cell a=6.9900 b=6.9900 c=18.9003 alpha=90.00 beta=90.00 gamma=90.00
With the nearest neighbours (Å) after each atom.
Fractional positions:
Zn  0.2163  0.2163  0.0000  6 O 2.06-2.19
Zn  0.2837  0.7163  0.2500  6 O 2.06-2.19
Zn  0.7163  0.2837  0.7500  6 O 2.06-2.19
Zn  0.7837  0.7837  0.5000  6 O 2.06-2.19
H  0.7190  0.0054  0.3827  1 O 1.00
H  0.2810  0.9946  0.8827  1 O 1.00
H  0.0054  0.7190  0.6173  1 O 1.00
H  0.5054  0.7810  0.1327  1 O 1.00
H  0.4946  0.2190  0.6327  1 O 1.00
H  0.7810  0.5054  0.8673  1 O 1.00
H  0.2190  0.4946  0.3673  1 O 1.00
H  0.9946  0.2810  0.1173  1 O 1.00
H  0.5254  0.9937  0.4305  1 O 0.99
H  0.4746  0.0063  0.9305  1 O 0.99
H  0.9937  0.5254  0.5695  1 O 0.99
H  0.4937  0.9746  0.1805  1 O 0.99
H  0.5063  0.0254  0.6805  1 O 0.99
H  0.9746  0.4937  0.8195  1 O 0.99
H  0.0254  0.5063  0.3195  1 O 0.99
H  0.0063  0.4746  0.0695  1 O 0.99
H  0.6219  0.4656  0.4397  1 O 0.99
H  0.3781  0.5344  0.9397  1 O 0.99
H  0.4656  0.6219  0.5603  1 O 0.99
H  0.9656  0.8781  0.1897  1 O 0.99
H  0.0344  0.1219  0.6897  1 O 0.99
H  0.8781  0.9656  0.8103  1 O 0.99
H  0.1219  0.0344  0.3103  1 O 0.99
H  0.0895  0.8571  0.0401  1 O 0.99
H  0.8457  0.4264  0.4571  1 O 0.99
H  0.1543  0.5736  0.9571  1 O 0.99
H  0.4264  0.8457  0.5429  1 O 0.99
H  0.9264  0.6543  0.2071  1 O 0.99
H  0.0736  0.3457  0.7071  1 O 0.99
H  0.6543  0.9264  0.7929  1 O 0.99
H  0.3457  0.0736  0.2929  1 O 0.99
H  0.5736  0.1543  0.0429  1 O 0.99
H  0.0751  0.7419  0.4057  1 O 0.99
H  0.9249  0.2581  0.9057  1 O 0.99
H  0.7419  0.0751  0.5943  1 O 0.99
H  0.2419  0.4249  0.1557  1 O 0.99
H  0.7581  0.5751  0.6557  1 O 0.99
H  0.4249  0.2419  0.8443  1 O 0.99
H  0.5751  0.7581  0.3443  1 O 0.99
H  0.2581  0.9249  0.0943  1 O 0.99
H  0.1429  0.9105  0.4599  1 O 0.99
H  0.8571  0.0895  0.9599  1 O 0.99
H  0.9105  0.1429  0.5401  1 O 0.99
H  0.4105  0.3571  0.2099  1 O 0.99
H  0.5895  0.6429  0.7099  1 O 0.99
H  0.3571  0.4105  0.7901  1 O 0.99
H  0.6429  0.5895  0.2901  1 O 0.99
H  0.5344  0.3781  0.0603  1 O 0.99
Se  0.7127  0.7127  0.0000  4 O 1.68
Se  0.7873  0.2127  0.2500  4 O 1.68
Se  0.2127  0.7873  0.7500  4 O 1.68
Se  0.2873  0.2873  0.5000  4 O 1.68
O  0.3265  0.0504  0.4922  1 Se 1.68, 3 H 1.73-1.86
O  0.6735  0.9496  0.9922  1 Se 1.68, 3 H 1.73-1.86
O  0.0504  0.3265  0.5078  1 Se 1.68, 3 H 1.73-1.86
O  0.5504  0.1735  0.2422  1 Se 1.68, 3 H 1.73-1.86
O  0.4496  0.8265  0.7422  1 Se 1.68, 3 H 1.73-1.86
O  0.1735  0.5504  0.7578  1 Se 1.68, 3 H 1.73-1.86
O  0.8265  0.4496  0.2578  1 Se 1.68, 3 H 1.73-1.86
O  0.9496  0.6735  0.0078  1 Se 1.68, 3 H 1.73-1.86
O  0.3756  0.3950  0.4279  1 Se 1.68, 2 H 1.73-1.80
O  0.6244  0.6050  0.9279  1 Se 1.68, 2 H 1.73-1.80
O  0.3950  0.3756  0.5721  1 Se 1.68, 2 H 1.73-1.80
O  0.8950  0.1244  0.1779  1 Se 1.68, 2 H 1.73-1.80
O  0.1050  0.8756  0.6779  1 Se 1.68, 2 H 1.73-1.80
O  0.1244  0.8950  0.8221  1 Se 1.68, 2 H 1.73-1.80
O  0.8756  0.1050  0.3221  1 Se 1.68, 2 H 1.73-1.80
O  0.6050  0.6244  0.0721  1 Se 1.68, 2 H 1.73-1.80
O  0.6347  0.9194  0.4114  2 H 0.99-1.00
O  0.3653  0.0806  0.9114  2 H 0.99-1.00
O  0.9194  0.6347  0.5886  2 H 0.99-1.00
O  0.4194  0.8653  0.1614  2 H 0.99-1.00
O  0.5806  0.1347  0.6614  2 H 0.99-1.00
O  0.8653  0.4194  0.8386  2 H 0.99-1.00
O  0.1347  0.5806  0.3386  2 H 0.99-1.00
O  0.0806  0.3653  0.0886  2 H 0.99-1.00
O  0.1835  0.9589  0.0515  2 H 0.99
O  0.2489  0.4759  0.9434  2 H 0.99
O  0.5241  0.7511  0.5566  2 H 0.99
O  0.0241  0.7489  0.1934  2 H 0.99
O  0.9759  0.2511  0.6934  2 H 0.99
O  0.7489  0.0241  0.8066  2 H 0.99
O  0.2511  0.9759  0.3066  2 H 0.99
O  0.4759  0.2489  0.0566  2 H 0.99
O  0.0411  0.8165  0.4485  2 H 0.99
O  0.9589  0.1835  0.9485  2 H 0.99
O  0.8165  0.0411  0.5515  2 H 0.99
O  0.3165  0.4589  0.1985  2 H 0.99
O  0.6835  0.5411  0.6985  2 H 0.99
O  0.4589  0.3165  0.8015  2 H 0.99
O  0.5411  0.6835  0.3015  2 H 0.99
O  0.7511  0.5241  0.4434  2 H 0.99

Properties
size of the total moment: 0.000 μB/f.u.
formation energy: -1298.8 meV/atom
piezoelectric modulus e_max: 0.09 C/m2


3.
VASP calculation (PBE-GGA) on an optimized crystal structure of Si2H2O5.

Unit cell a=5.0949 b=6.1179 c=8.4855 alpha=109.35 beta=106.31 gamma=93.54
With the nearest neighbours (Å) after each atom.
Fractional positions:
Si  0.6579  0.4911  0.2151  4 O 1.59-1.78
Si  0.4205  0.4983  0.7973  3 O 1.57-1.63
Si  0.9457  0.8083  0.8193  4 O 1.62-1.65
Si  0.1221  0.1793  0.2051  4 O 1.59-1.65
H  0.8121  0.4491  0.9826  1 O 0.98
H  0.7556  0.8283  0.4582  1 O 1.00
H  0.0862  0.0619  0.6863  1 O 1.05
H  0.2297  0.1288  0.4738  1 O 1.02
O  0.6395  0.4920  0.0032  1 H 0.98
O  0.9426  0.9935  0.0082  2 Si 1.63-1.64
O  0.9431  0.3906  0.2615  2 Si 1.61-1.65
O  0.6651  0.6076  0.7412  2 Si 1.63-1.64
O  0.2227  0.6841  0.8613  2 Si 1.63-1.65
O  0.3904  0.3060  0.1772  2 Si 1.60-1.64
O  0.6611  0.7575  0.3280  1 H 1.00
O  0.2770  0.2392  0.6768  2 H 1.45-1.57, 1 Si 1.57
O  0.9345  0.9261  0.6733  1 H 1.05
O  0.1952  0.0496  0.3422  1 H 1.02

Properties
size of the total moment: 0.000 μB/f.u.
formation energy: -2467.1 meV/atom
energy relative to the lowest polymorph listed for this composition: 103 meV per atom